Record 1
UFeGe: relaxed, PBE.

```
12
Lattice="6.914 0.000 0.000 0.000 4.437 0.000 -0.510 0.000 7.118" Properties=species:S:1:pos:R:3 pbc="T T T"
U 1.103 1.109 3.440
U 1.472 1.109 6.839
U 4.932 3.328 0.279
U 5.301 3.328 3.678
Fe -0.170 3.328 5.261
Fe 3.077 3.328 2.603
Fe 3.327 1.109 4.515
Fe 6.574 1.109 1.858
Ge 0.763 3.328 1.400
Ge 2.451 3.328 5.052
Ge 3.953 1.109 2.067
Ge 5.641 1.109 5.719
```

Computed properties:
* formation enthalpy at 0 K: -0.983 eV per formula unit

=====

Record 2
UFe2Ge2: relaxed, PBE.

```
5
Lattice="-2.016 2.016 4.759 2.016 -2.016 4.759 2.016 2.016 -4.759" Properties=species:S:1:pos:R:3 pbc="T T T"
U 0.000 0.000 0.000
Fe 2.016 0.000 2.380
Fe 0.000 2.016 2.380
Ge 0.000 0.000 3.520
Ge 0.000 0.000 5.998
```

Computed properties:
* formation enthalpy at 0 K: -1.111 eV per formula unit

=====

Record 3
U2Fe3Ge: relaxed, PBE.

```
12
Lattice="5.140 0.000 0.000 -2.570 4.451 0.000 0.000 0.000 7.857" Properties=species:S:1:pos:R:3 pbc="T T T"
U 0.000 2.968 0.615
U 0.000 2.968 3.313
U 2.570 1.484 4.544
U 2.570 1.484 7.241
Fe 0.000 1.520 5.892
Fe -1.254 3.692 5.892
Fe 1.316 0.760 1.964
Fe 1.254 3.692 5.892
Fe 3.824 0.760 1.964
Fe 2.570 2.932 1.964
Ge 0.000 0.000 0.000
Ge 0.000 0.000 3.928
```

Computed properties:
* formation enthalpy at 0 K: -1.600 eV per formula unit

=====

Record 4
UFe4Ge2: relaxed, PBE.

```
14
Lattice="7.067 0.000 0.000 0.000 7.067 0.000 0.000 0.000 4.053" Properties=species:S:1:pos:R:3 pbc="T T T"
U 0.000 0.000 0.000
U 3.533 3.533 2.027
Fe 0.740 2.573 2.027
Fe 0.960 4.273 0.000
Fe 2.573 0.740 2.027
Fe 2.794 6.106 0.000
Fe 4.273 0.960 0.000
Fe 4.494 6.327 2.027
Fe 6.106 2.794 0.000
Fe 6.327 4.494 2.027
Ge 1.490 5.577 2.027
Ge 2.044 2.044 0.000
Ge 5.023 5.023 0.000
Ge 5.577 1.490 2.027
```

Computed properties:
* formation enthalpy at 0 K: -1.201 eV per formula unit

=====

Record 5
V2FeGe: relaxed, PBE.

```
8
Lattice="4.622 0.000 0.000 0.000 3.308 3.301 0.000 -3.308 3.301" Properties=species:S:1:pos:R:3 pbc="T T T"
V 0.000 0.000 0.000
V 1.156 0.772 4.128
V 2.311 0.000 0.000
V 3.467 -0.772 4.128
Fe 1.156 -0.854 2.515
Fe 3.467 0.854 2.515
Ge 1.156 1.613 1.680
Ge 3.467 -1.613 1.680
```

Computed properties:
* formation enthalpy at 0 K: -1.197 eV per formula unit

=====

Record 6
YFe6Ge6: relaxed, PBE.

```
26
Lattice="4.062 -8.820 0.000 4.062 8.820 0.000 0.000 0.000 5.112" Properties=species:S:1:pos:R:3 pbc="T T T"
Y 4.062 6.584 3.834
Y 4.062 -6.584 1.278
Fe 2.031 4.410 0.000
Fe 2.031 4.410 2.556
Fe 2.035 2.206 3.834
Fe 2.032 0.000 0.000
Fe 2.032 0.000 2.556
Fe 2.035 -2.206 1.278
Fe 2.031 -4.410 0.000
Fe 2.031 -4.410 2.556
Fe 6.088 2.206 3.834
Fe 6.091 0.000 0.000
Fe 6.091 0.000 2.556
Fe 6.088 -2.206 1.278
Ge 4.062 8.076 1.278
Ge 4.062 5.098 1.278
Ge 2.815 2.195 1.278
Ge 4.062 3.619 3.834
Ge 4.062 0.724 3.834
Ge 2.815 -2.195 3.834
Ge 5.308 2.195 1.278
Ge 4.062 -0.724 1.278
Ge 4.062 -3.619 1.278
Ge 5.308 -2.195 3.834
Ge 4.062 -5.098 3.834
Ge 4.062 -8.076 3.834
```

Computed properties:
* formation enthalpy at 0 K: -3.580 eV per formula unit

=====

Record 7
Zr2Fe3Ge: relaxed, PBE.

```
12
Lattice="5.025 0.000 0.000 -2.513 4.352 0.000 0.000 0.000 8.202" Properties=species:S:1:pos:R:3 pbc="T T T"
Zr 0.000 2.901 0.536
Zr 0.000 2.901 3.565
Zr 2.513 1.451 4.637
Zr 2.513 1.451 7.666
Fe 0.000 1.503 6.152
Fe -1.211 3.600 6.152
Fe 1.302 0.751 2.051
Fe 1.211 3.600 6.152
Fe 3.724 0.751 2.051
Fe 2.513 2.849 2.051
Ge 0.000 0.000 0.000
Ge 0.000 0.000 4.101
```

Computed properties:
* formation enthalpy at 0 K: -2.714 eV per formula unit

=====

Record 8
Fe3H: relaxed, PBE.

```
8
Lattice="5.153 0.000 0.000 -2.576 4.462 0.000 0.000 0.000 3.613" Properties=species:S:1:pos:R:3 pbc="T T T"
Fe 0.000 1.542 0.903
Fe -1.241 3.692 0.903
Fe 1.335 0.771 2.710
Fe 1.241 3.692 0.903
Fe 3.818 0.771 2.710
Fe 2.576 2.921 2.710
H 0.000 2.975 2.710
H 2.576 1.487 0.903
```

Computed properties:
* formation enthalpy at 0 K: 2.265 eV per formula unit

=====

Record 9
Fe3H: relaxed, PBE.

```
4
Lattice="-1.740 1.740 3.179 1.740 -1.740 3.179 1.740 1.740 -3.179" Properties=species:S:1:pos:R:3 pbc="T T T"
Fe 0.000 0.000 0.000
Fe 1.740 0.000 1.590
Fe 0.000 1.740 1.590
H 0.000 0.000 3.179
```

Computed properties:
* formation enthalpy at 0 K: 2.274 eV per formula unit